1.
Nb3Os GGA-PBE relaxed; electronic total energy = -42.50 eV/f.u.; volume = 17.37 Å³ per atom; formation enthalpy at 0 K = -0.242 eV per atom
1.0
-0.536 -4.924 -1.514
4.308 -1.264 2.582
-2.825 -0.992 4.227
Os Nb
2 6
Cartesian
0.474 -3.590 2.647 Os
0.000 0.000 0.000 Os
-1.546 -1.727 1.735 Nb
0.036 -1.376 4.461 Nb
1.448 -0.880 2.348 Nb
0.809 -2.778 -0.112 Nb
2.963 -3.410 1.180 Nb
-1.815 -4.189 0.978 Nb



2.
PrYMg2 GGA-PBE relaxed; electronic total energy = -14.86 eV/f.u.; volume = 28.64 Å³ per atom; formation enthalpy at 0 K = -0.103 eV per atom; excess energy over the best structure of this formula in the dataset = 0.010 eV per atom
1.0
3.845 0.000 0.000
0.000 3.845 0.000
0.000 0.000 7.749
Mg Y Pr
2 1 1
Cartesian
1.923 1.923 1.892 Mg
1.923 1.923 5.858 Mg
0.000 0.000 0.000 Y
0.000 0.000 3.875 Pr



3.
Sb2Se3O12 GGA-PBE relaxed; electronic total energy = -91.26 eV/f.u.; volume = 17.30 Å³ per atom; formation enthalpy at 0 K = -1.258 eV per atom; magnetic moment = 0.0 Bohr magnetons per cell
1.0
9.759 0.000 0.000
0.000 9.273 0.000
0.000 8.925 12.998
O Sb Se
48 8 12
Cartesian
8.530 9.846 7.491 O
5.875 5.572 6.169 O
2.850 8.101 2.347 O
1.243 14.044 12.232 O
5.650 3.901 3.990 O
2.201 7.590 10.504 O
6.108 5.384 0.992 O
8.010 15.350 12.304 O
9.477 11.059 10.210 O
6.007 8.698 1.225 O
0.995 8.163 0.330 O
3.752 9.500 11.773 O
4.866 7.865 9.901 O
8.764 10.035 12.667 O
0.774 11.608 5.808 O
3.018 5.192 1.370 O
3.637 9.582 5.733 O
7.558 10.608 2.493 O
5.161 6.596 3.711 O
4.109 14.297 9.008 O
3.131 7.310 7.192 O
0.281 7.139 2.787 O
8.988 8.364 10.488 O
1.128 5.038 5.274 O
6.122 8.616 7.264 O
5.653 2.128 0.691 O
3.884 12.626 6.829 O
7.080 15.071 8.992 O
6.909 10.097 10.651 O
8.631 13.160 7.724 O
0.771 9.834 2.509 O
8.516 4.153 0.765 O
4.892 10.333 3.097 O
2.678 3.127 4.005 O
4.106 16.070 12.307 O
1.749 2.848 0.694 O
0.013 3.403 3.402 O
6.628 10.888 5.805 O
7.730 5.634 4.152 O
2.029 12.564 8.846 O
4.598 11.602 9.286 O
3.650 12.814 12.006 O
6.741 13.006 11.627 O
7.897 8.543 5.129 O
8.985 6.590 7.189 O
9.746 14.795 9.595 O
1.862 9.655 7.869 O
1.229 8.352 5.507 O
4.575 11.479 4.962 Sb
9.454 2.256 1.537 Sb
5.221 11.315 11.514 Sb
5.184 6.718 8.035 Sb
4.538 6.883 1.484 Sb
0.342 11.345 7.982 Sb
9.417 6.852 5.015 Sb
0.304 15.942 11.461 Sb
2.415 4.271 0.083 Se
8.591 14.714 8.366 Se
6.047 10.251 1.867 Se
3.711 7.947 11.131 Se
1.216 8.286 1.989 Se
1.168 3.484 4.632 Se
7.344 13.927 12.914 Se
7.294 9.464 6.415 Se
6.096 5.449 4.509 Se
3.663 12.749 8.488 Se
8.542 9.912 11.008 Se
2.465 8.734 6.582 Se



4.
CsRuO3 GGA-PBE relaxed; electronic total energy = -29.30 eV/f.u.; volume = 13.49 Å³ per atom; formation enthalpy at 0 K = -1.270 eV per atom; magnetic moment = 0.6 Bohr magnetons per cell
1.0
-0.270 3.911 1.094
-3.726 0.197 -1.626
-1.615 -1.110 3.568
O Cs Ru
3 1 1
Cartesian
-0.943 1.401 2.331 O
-1.998 2.054 -0.266 O
-2.671 -0.456 0.971 O
0.000 0.000 0.000 Cs
-2.806 1.499 1.518 Ru



5.
TbHSO5 GGA-PBE relaxed; electronic total energy = -53.81 eV/f.u.; volume = 11.44 Å³ per atom; formation enthalpy at 0 K = -2.543 eV per atom; magnetic moment = 0.0 Bohr magnetons per cell
1.0
-8.058 0.000 0.537
0.025 0.000 -8.267
0.000 -10.993 0.000
H O Tb S
8 40 8 8
Cartesian
-2.743 -6.858 -2.884 H
-5.545 -4.492 -0.851 H
-1.274 -1.361 -0.981 H
-6.760 -9.632 -6.749 H
-1.504 -1.005 -5.253 H
-5.291 -4.135 -4.847 H
-2.489 -6.501 -6.879 H
-6.530 -9.988 -2.477 H
-4.815 -4.988 -4.896 O
-1.150 -6.538 -0.739 O
-7.069 -6.902 -4.900 O
-6.999 -7.389 -7.780 O
-6.748 -4.361 -3.101 O
-3.219 -6.005 -2.834 O
-2.978 -5.651 -6.878 O
-5.327 -9.858 -0.228 O
-7.236 -10.484 -6.699 O
-5.056 -5.342 -0.852 O
-4.611 -1.416 -1.492 O
-3.052 -9.588 -1.035 O
-0.570 -4.080 -5.893 O
-4.931 -8.398 -2.100 O
-1.286 -6.632 -4.629 O
-5.167 -9.952 -4.604 O
-7.939 -2.254 -3.417 O
-2.867 -1.041 -3.126 O
-7.144 -2.901 -1.228 O
-7.019 -10.838 -2.476 O
-1.014 -0.155 -5.254 O
-4.136 -7.751 0.088 O
-3.423 -9.577 -6.239 O
-0.484 -8.806 -1.252 O
-0.095 -8.739 -4.313 O
-4.501 -7.683 -5.117 O
-4.982 -1.405 -6.695 O
-7.550 -2.187 -6.478 O
-2.707 -1.135 -7.503 O
-3.103 -2.595 -5.630 O
-0.889 -8.092 -6.502 O
-6.884 -4.455 -6.991 O
-1.035 -3.604 0.050 O
-7.464 -6.913 -1.837 O
-5.051 -1.892 -3.815 O
-3.533 -3.310 -2.613 O
-0.798 -0.509 -1.031 O
-0.965 -4.091 -2.830 O
-3.898 -3.242 -7.818 O
-2.982 -9.101 -3.915 O
-2.493 -4.675 -4.712 Tb
-1.294 -10.322 -3.006 Tb
-5.310 -6.168 -6.871 Tb
-1.500 -10.171 -7.420 Tb
-6.534 -0.822 -0.310 Tb
-6.740 -0.671 -4.724 Tb
-5.541 -6.318 -3.019 Tb
-2.723 -4.826 -0.859 Tb
-4.366 -8.899 -0.820 S
-0.325 -7.590 -5.222 S
-7.709 -3.403 -2.508 S
-4.022 -1.889 -2.755 S
0.020 -3.607 -7.157 S
-3.667 -2.094 -6.910 S
-8.054 -7.386 -0.574 S
-4.012 -9.104 -4.975 S



6.
Sb GGA-PBE relaxed; electronic total energy = -3.84 eV/f.u.; volume = 27.41 Å³ per atom; formation enthalpy at 0 K = 0.290 eV per atom; excess energy over the best structure of this formula in the dataset = 0.290 eV per atom; magnetic moment = 0.0 Bohr magnetons per cell
1.0
-1.697 -2.939 0.000
-1.697 2.939 0.000
0.000 0.000 -5.495
Sb
2
Cartesian
-1.697 0.980 -4.121 Sb
-1.697 -0.980 -1.374 Sb



7.
CeCu GGA-PBE relaxed; electronic total energy = -10.09 eV/f.u.; volume = 22.74 Å³ per atom; formation enthalpy at 0 K = -0.031 eV per atom; magnetic moment = 3.8 Bohr magnetons per cell
1.0
4.200 0.000 0.000
0.000 6.149 0.000
0.000 0.000 7.044
Cu Ce
4 4
Cartesian
1.050 0.646 3.809 Cu
1.050 2.428 0.286 Cu
3.150 3.720 6.758 Cu
3.150 5.503 3.236 Cu
3.150 2.175 2.342 Ce
3.150 0.900 5.864 Ce
1.050 5.249 1.180 Ce
1.050 3.974 4.702 Ce



8.
LiTi4O8 GGA-PBE relaxed; electronic total energy = -110.00 eV/f.u.; volume = 11.55 Å³ per atom; formation enthalpy at 0 K = -3.264 eV per atom; excess energy over the best structure of this formula in the dataset = 0.070 eV per atom; magnetic moment = 0.0 Bohr magnetons per cell
1.0
5.124 -2.997 0.000
5.124 2.997 0.000
3.371 0.000 4.886
O Ti Li
8 4 1
Cartesian
8.498 0.000 1.029 O
6.085 -1.647 1.173 O
7.535 -1.647 3.713 O
3.200 0.000 1.148 O
6.085 1.647 1.173 O
10.420 0.000 3.738 O
7.535 1.647 3.713 O
5.121 0.000 3.858 O
2.562 -1.499 0.000 Ti
1.686 0.000 2.443 Ti
2.562 1.499 0.000 Ti
0.000 0.000 0.000 Ti
6.810 0.000 2.443 Li



9.
Er4SiNi3 GGA-PBE relaxed; electronic total energy = -45.54 eV/f.u.; volume = 20.06 Å³ per atom; formation enthalpy at 0 K = -0.563 eV per atom; magnetic moment = 0.0 Bohr magnetons per cell
1.0
3.879 0.000 0.000
0.000 4.017 0.000
0.000 0.000 10.300
Er Ni Si
4 3 1
Cartesian
0.000 2.008 8.821 Er
0.000 0.000 1.464 Er
1.940 0.000 6.601 Er
1.940 2.008 3.726 Er
0.000 0.000 4.429 Ni
1.940 0.000 9.590 Ni
0.000 2.008 5.875 Ni
1.940 2.008 0.694 Si



10.
MgB7 GGA-PBE relaxed; electronic total energy = -49.40 eV/f.u.; volume = 7.93 Å³ per atom; formation enthalpy at 0 K = -0.131 eV per atom
1.0
-2.987 4.056 5.234
2.987 -4.056 5.234
2.987 4.056 -5.234
B Mg
28 4
Cartesian
2.987 -1.431 4.373 B
2.058 -1.324 5.899 B
4.459 -0.362 0.815 B
0.000 5.487 0.861 B
-1.472 4.418 4.419 B
2.987 0.197 1.738 B
0.929 5.380 -0.665 B
2.987 3.123 -3.758 B
2.987 0.197 3.495 B
0.000 3.859 1.738 B
1.515 -0.362 0.815 B
1.472 3.694 -0.815 B
1.515 0.362 6.049 B
3.916 1.324 0.665 B
1.515 -0.362 4.419 B
0.929 2.732 0.665 B
0.000 0.933 8.992 B
2.058 1.324 0.665 B
-0.929 2.732 4.569 B
0.000 2.625 6.094 B
2.987 3.123 -1.475 B
2.987 1.431 -0.861 B
0.000 3.859 3.495 B
1.472 4.418 0.815 B
1.472 4.418 4.419 B
0.000 0.933 6.709 B
2.058 1.324 4.569 B
0.929 2.732 4.569 B
0.000 1.104 2.617 Mg
1.493 2.028 -2.617 Mg
1.493 -2.028 2.617 Mg
2.987 2.952 2.617 Mg



11.
LiCd2HSe2O7 GGA-PBE relaxed; electronic total energy = -63.90 eV/f.u.; volume = 13.93 Å³ per atom; formation enthalpy at 0 K = -1.533 eV per atom; magnetic moment = 0.0 Bohr magnetons per cell
1.0
10.465 0.000 0.000
0.000 5.917 0.000
0.000 0.103 11.702
O Li Cd H Se
28 4 8 4 8
Cartesian
5.203 2.319 7.832 O
2.661 5.608 4.372 O
7.856 5.593 10.618 O
2.830 3.812 6.296 O
5.415 4.784 8.866 O
5.359 4.288 0.706 O
0.183 1.287 8.688 O
5.106 1.731 10.997 O
10.435 3.752 9.722 O
2.876 2.860 3.231 O
7.589 3.159 8.472 O
5.262 3.700 3.870 O
2.572 5.659 10.223 O
10.282 4.732 3.014 O
5.050 1.236 2.837 O
0.127 1.680 5.145 O
7.893 0.360 1.479 O
7.842 5.541 4.767 O
8.108 3.108 2.620 O
2.609 0.427 1.084 O
7.804 0.411 7.331 O
2.402 3.760 0.445 O
2.357 2.912 9.082 O
10.338 4.339 6.557 O
8.063 2.259 11.257 O
2.623 0.478 6.935 O
7.634 2.208 5.406 O
0.030 2.267 1.981 O
8.493 3.810 10.073 Li
7.204 3.759 4.222 Li
3.261 2.261 7.481 Li
1.971 2.209 1.630 Li
6.468 0.955 9.302 Cd
9.229 0.904 3.450 Cd
1.077 3.704 4.628 Cd
1.236 5.115 8.252 Cd
4.155 3.755 10.479 Cd
9.387 2.316 7.075 Cd
6.310 2.264 1.224 Cd
3.996 5.064 2.401 Cd
9.599 4.955 6.377 H
4.367 1.115 11.177 H
6.098 4.904 0.525 H
0.865 1.064 5.326 H
1.731 5.299 0.019 Se
9.529 3.693 1.825 Se
4.297 2.274 4.026 Se
0.936 2.326 9.877 Se
8.734 0.720 11.684 Se
6.168 3.745 7.677 Se
3.502 5.350 5.870 Se
6.963 0.669 5.832 Se



12.
CsZnPO4 GGA-PBE relaxed; electronic total energy = -42.17 eV/f.u.; volume = 17.56 Å³ per atom; formation enthalpy at 0 K = -2.508 eV per atom; excess energy over the best structure of this formula in the dataset = 0.002 eV per atom; magnetic moment = 0.0 Bohr magnetons per cell
1.0
5.500 0.000 0.000
0.000 9.403 0.000
0.000 0.000 9.505
O Zn P Cs
16 4 4 4
Cartesian
0.064 7.033 4.269 O
3.172 7.128 5.068 O
4.156 9.095 3.752 O
2.814 2.370 5.236 O
1.406 5.010 8.505 O
0.893 2.493 6.901 O
1.406 0.308 5.753 O
3.642 2.209 2.149 O
3.172 2.426 9.189 O
0.422 6.977 0.316 O
4.156 4.393 1.000 O
0.064 2.332 0.483 O
2.814 7.071 9.022 O
0.422 2.275 4.437 O
0.893 7.194 7.356 O
3.642 6.910 2.604 O
4.133 6.339 0.785 Zn
1.384 3.064 8.720 Zn
1.384 7.765 5.538 Zn
4.133 1.638 3.967 Zn
1.386 6.541 8.672 P
1.386 1.840 5.586 P
4.136 2.862 0.833 P
4.136 7.563 3.919 P
4.191 0.033 7.571 Cs
1.441 9.370 1.934 Cs
4.191 4.735 6.686 Cs
1.441 4.668 2.819 Cs



13.
Mo4Ir GGA-PBE relaxed; electronic total energy = -51.19 eV/f.u.; volume = 15.78 Å³ per atom; formation enthalpy at 0 K = 0.206 eV per atom; magnetic moment = 0.0 Bohr magnetons per cell
1.0
-11.063 -4.182 -1.599
-9.979 -6.522 -0.574
-10.962 -4.578 1.146
Mo Ir
4 1
Cartesian
-25.581 -12.214 -0.820 Mo
-19.289 -9.210 -0.619 Mo
-6.423 -3.067 -0.206 Mo
-12.715 -6.071 -0.408 Mo
0.000 0.000 0.000 Ir



14.
Dy2Fe17C3 GGA-PBE relaxed; electronic total energy = -182.66 eV/f.u.; volume = 12.23 Å³ per atom; formation enthalpy at 0 K = -0.080 eV per atom; magnetic moment = 34.3 Bohr magnetons per cell
1.0
-2.546 5.597 -2.108
-0.611 2.825 5.822
5.555 3.371 -0.177
Dy Fe C
2 17 3
Cartesian
0.819 4.030 1.209 Dy
1.579 7.763 2.329 Dy
-0.253 4.967 -1.561 Fe
0.230 1.132 0.339 Fe
-1.273 2.799 -1.054 Fe
1.134 2.980 4.124 Fe
0.513 5.504 4.196 Fe
3.810 3.216 1.521 Fe
-1.159 3.610 3.578 Fe
-1.998 4.813 0.137 Fe
2.168 10.662 3.198 Fe
-0.306 1.413 2.911 Fe
1.886 6.289 -0.659 Fe
-1.269 6.010 2.411 Fe
3.262 4.001 -0.724 Fe
2.778 1.685 -0.089 Fe
-0.477 6.922 0.139 Fe
2.875 4.871 3.398 Fe
3.667 5.783 1.127 Fe
1.505 4.484 -1.142 C
2.472 3.098 2.823 C
-1.578 4.211 1.857 C